#one
KCuPO4 | GGA-PBE | optimized geometry

Unit cell a=6.7998 b=6.8422 c=18.0687 alpha=90.00 beta=90.00 gamma=90.00
Last column: nearest neighbours and their distance in Å.
Fractional coordinates of all 56 atoms:
K1 0.0292 0.0118 0.1764  4 O 2.64-2.89
K2 0.0292 0.4882 0.6764  4 O 2.64-2.89
K3 0.4708 0.5118 0.1764  4 O 2.64-2.89
K4 0.4708 0.9882 0.6764  4 O 2.64-2.89
K5 0.5292 0.0118 0.3236  4 O 2.64-2.89
K6 0.5292 0.4882 0.8236  4 O 2.64-2.89
K7 0.9708 0.5118 0.3236  4 O 2.64-2.89
K8 0.9708 0.9882 0.8236  4 O 2.64-2.89
Cu1 0.2018 0.7248 0.5067  4 O 1.95-2.01
Cu2 0.2018 0.7752 0.0067  4 O 1.95-2.01
Cu3 0.2982 0.2248 0.5067  4 O 1.95-2.01
Cu4 0.2982 0.2752 0.0067  4 O 1.95-2.01
Cu5 0.7018 0.7248 0.9933  4 O 1.95-2.01
Cu6 0.7018 0.7752 0.4933  4 O 1.95-2.01
Cu7 0.7982 0.2248 0.9933  4 O 1.95-2.01
Cu8 0.7982 0.2752 0.4933  4 O 1.95-2.01
P1 0.0392 0.5193 0.8966  4 O 1.52-1.61
P2 0.0392 0.9807 0.3966  4 O 1.52-1.61
P3 0.4608 0.0193 0.8966  4 O 1.52-1.61
P4 0.4608 0.4807 0.3966  4 O 1.52-1.61
P5 0.5392 0.5193 0.6034  4 O 1.52-1.61
P6 0.5392 0.9807 0.1034  4 O 1.52-1.61
P7 0.9608 0.0193 0.6034  4 O 1.52-1.61
P8 0.9608 0.4807 0.1034  4 O 1.52-1.61
O1 0.0368 0.1945 0.5517  1 P 1.61
O2 0.0368 0.3055 0.0517  1 P 1.61
O3 0.0587 0.5889 0.8169  1 P 1.52
O4 0.0587 0.9111 0.3169  1 P 1.52
O5 0.1106 0.6524 0.0980  1 P 1.56
O6 0.1106 0.8476 0.5980  1 P 1.56
O7 0.2451 0.0327 0.4298  1 P 1.56
O8 0.2451 0.4673 0.9298  1 P 1.56
O9 0.2549 0.5327 0.4298  1 P 1.56
O10 0.2549 0.9673 0.9298  1 P 1.56
O11 0.3894 0.1524 0.0980  1 P 1.56
O12 0.3894 0.3476 0.5980  1 P 1.56
O13 0.4413 0.0889 0.8169  1 P 1.52
O14 0.4413 0.4111 0.3169  1 P 1.52
O15 0.4632 0.6945 0.5517  1 P 1.61
O16 0.4632 0.8055 0.0517  1 P 1.61
O17 0.5368 0.1945 0.9483  1 P 1.61
O18 0.5368 0.3055 0.4483  1 P 1.61
O19 0.5587 0.5889 0.6831  1 P 1.52
O20 0.5587 0.9111 0.1831  1 P 1.52
O21 0.6106 0.6524 0.4020  1 P 1.56
O22 0.6106 0.8476 0.9020  1 P 1.56
O23 0.7451 0.0327 0.0702  1 P 1.56
O24 0.7451 0.4673 0.5702  1 P 1.56
O25 0.7549 0.5327 0.0702  1 P 1.56
O26 0.7549 0.9673 0.5702  1 P 1.56
O27 0.8894 0.1524 0.4020  1 P 1.56
O28 0.8894 0.3476 0.9020  1 P 1.56
O29 0.9413 0.0889 0.6831  1 P 1.52
O30 0.9413 0.4111 0.1831  1 P 1.52
O31 0.9632 0.6945 0.9483  1 P 1.61
O32 0.9632 0.8055 0.4483  1 P 1.61

Summary:
**Space group**: Pbca
**Spin magnetization**: 8.00 μB per cell

***

#two
KCuPO4 | GGA-PBE | optimized geometry

Unit cell a=5.0852 b=9.6938 c=8.2347 alpha=90.00 beta=93.25 gamma=90.00
Last column: nearest neighbours and their distance in Å.
Fractional coordinates of all 28 atoms:
K1 0.2004 0.0000 0.2778  7 O 2.69-2.97
K2 0.2275 0.8428 0.7586  5 O 2.69-2.89
K3 0.7725 0.3428 0.2414  5 O 2.69-2.89
K4 0.7996 0.5000 0.7222  7 O 2.69-2.97
Cu1 0.2318 0.2026 0.9258  4 O 1.91-2.00
Cu2 0.3610 0.6077 0.4054  4 O 1.93-2.02
Cu3 0.6390 0.1077 0.5946  4 O 1.93-2.02
Cu4 0.7682 0.7026 0.0742  4 O 1.91-2.00
P1 0.2593 0.5209 0.0401  4 O 1.54-1.57
P2 0.2688 0.3025 0.5705  4 O 1.52-1.62
P3 0.7312 0.8025 0.4295  4 O 1.52-1.62
P4 0.7407 0.0209 0.9599  4 O 1.54-1.57
O1 0.0230 0.7663 0.4365  1 P 1.52
O2 0.1004 0.6472 0.9717  1 P 1.55
O3 0.1452 0.3934 0.9487  1 P 1.54
O4 0.2222 0.4975 0.2247  1 P 1.56
O5 0.3121 0.4602 0.5727  1 P 1.54
O6 0.4229 0.2263 0.4376  1 P 1.57
O7 0.4247 0.2355 0.7284  1 P 1.62
O8 0.4413 0.0387 0.9896  1 P 1.57
O9 0.5587 0.5387 0.0104  1 P 1.57
O10 0.5753 0.7355 0.2716  1 P 1.62
O11 0.5771 0.7263 0.5624  1 P 1.57
O12 0.6879 0.9602 0.4273  1 P 1.54
O13 0.7778 0.9975 0.7753  1 P 1.56
O14 0.8548 0.8934 0.0513  1 P 1.54
O15 0.8996 0.1472 0.0283  1 P 1.55
O16 0.9770 0.2663 0.5635  1 P 1.52

Summary:
**Maximum piezoelectric response**: 0.468 C/m²
**Space group**: P2_1
**Spin magnetization**: 0.00 μB per cell

***

#one (20 meV/atom below the next structure)

***

#one
K2TaCuSe4 | GGA-PBE | optimized geometry

Unit cell a=14.0365 b=12.5542 c=7.4887 alpha=84.91 beta=62.98 gamma=32.10
Last column: nearest neighbours and their distance in Å.
Fractional coordinates of all 16 atoms:
K1 0.0547 0.0547 0.6953  8 Se 3.52-3.72
K2 0.3047 0.3047 0.9453  8 Se 3.52-3.72
K3 0.6953 0.6953 0.0547  8 Se 3.52-3.72
K4 0.9453 0.9453 0.3047  8 Se 3.52-3.72
Ta1 0.1250 0.1250 0.1250  4 Se 2.43
Ta2 0.8750 0.8750 0.8750  4 Se 2.43
Cu1 0.3750 0.3750 0.3750  4 Se 2.47
Cu2 0.6250 0.6250 0.6250  4 Se 2.47
Se1 0.0404 0.3232 0.4136  1 Ta 2.43, 1 Cu 2.47
Se2 0.2773 0.5864 0.6768  1 Ta 2.43, 1 Cu 2.47
Se3 0.3232 0.0404 0.7227  1 Ta 2.43, 1 Cu 2.47
Se4 0.4136 0.7227 0.0404  1 Ta 2.43, 1 Cu 2.47
Se5 0.5864 0.2773 0.9596  1 Ta 2.43, 1 Cu 2.47
Se6 0.6768 0.9596 0.2773  1 Ta 2.43, 1 Cu 2.47
Se7 0.7227 0.4136 0.3232  1 Ta 2.43, 1 Cu 2.47
Se8 0.9596 0.6768 0.5864  1 Ta 2.43, 1 Cu 2.47

Summary:
**Space group**: Fddd
**Spin magnetization**: 0.00 μB per cell

***

#two
K2TaCuSe4 | GGA-PBE | optimized geometry

Unit cell a=5.7735 b=7.4887 c=12.5542 alpha=84.91 beta=76.71 gamma=67.33
Last column: nearest neighbours and their distance in Å.
Fractional coordinates of all 16 atoms:
K1 0.0000 0.0000 0.0000  8 Se 3.52-3.73
K2 0.0981 0.5019 0.7845  8 Se 3.52-3.78
K3 0.3568 0.9957 0.2812  8 Se 3.50-3.73
K4 0.7406 0.4960 0.4984  8 Se 3.50-3.75
Ta1 0.1728 0.9952 0.6395  4 Se 2.36-2.44
Ta2 0.9215 0.5074 0.1371  4 Se 2.39-2.51
Cu1 0.4284 0.5042 0.1395  4 Se 2.47-2.49
Cu2 0.6656 0.9983 0.6398  4 Se 2.41-2.52
Se1 0.0060 0.6994 0.2537  1 Ta 2.39, 1 Cu 2.48
Se2 0.0935 0.8006 0.5255  1 Ta 2.36, 1 Cu 2.51
Se3 0.3249 0.2986 0.0298  1 Ta 2.41, 1 Cu 2.47
Se4 0.3734 0.2033 0.5293  1 Cu 2.42, 1 Ta 2.44
Se5 0.4687 0.7945 0.7518  1 Cu 2.41, 1 Ta 2.43
Se6 0.6402 0.7057 0.0232  1 Ta 2.39, 1 Cu 2.47
Se7 0.7266 0.2914 0.2547  1 Cu 2.49, 1 Ta 2.51
Se8 0.7724 0.2011 0.7561  1 Ta 2.44, 1 Cu 2.52

Summary:
**Space group**: P1
**Spin magnetization**: 0.00 μB per cell

***

#one (13 meV/atom below the next structure)

***

#one
LiLa8Cu3O16 | GGA-PBE | optimized geometry

Unit cell a=7.0910 b=7.5723 c=8.4585 alpha=116.44 beta=96.89 gamma=105.59
Last column: nearest neighbours and their distance in Å.
Fractional coordinates of all 28 atoms:
Li1 0.0000 0.0000 0.0000  4 O 1.90-1.94
La1 0.2740 0.7304 0.8197  5 O 2.36-2.64
La2 0.2757 0.2302 0.8257  1 O 2.31
La3 0.2765 0.9837 0.3173  1 O 2.31
La4 0.2774 0.4723 0.3147  1 O 2.33
La5 0.7225 0.0176 0.6826  2 O 2.31-2.58
La6 0.7218 0.5289 0.6855  1 O 2.33
La7 0.7215 0.7702 0.1753  1 O 2.32
La8 0.7228 0.2695 0.1808  5 O 2.37-2.65
Cu1 0.9996 0.4997 0.9997  4 O 1.85-1.91
Cu2 0.0004 0.7500 0.5007  4 O 1.87-1.90
Cu3 0.9964 0.2465 0.4969  4 O 1.87-1.89
O1 0.0033 0.8749 0.7489  1 Cu 1.87, 1 Li 1.91
O2 0.0039 0.6272 0.2524  2 Cu 1.89-1.91
O3 0.0062 0.7459 0.0000  1 Cu 1.85, 1 Li 1.94
O4 0.3616 0.1390 0.0919  1 La 2.37, 1 Li 2.37
O5 0.3673 0.3776 0.5846  1 La 2.33, 1 Cu 2.43
O6 0.3682 0.6262 0.0818  1 La 2.32, 1 Cu 2.42
O7 0.3701 0.8781 0.5888  1 La 2.31, 1 Cu 2.43
O8 0.6278 0.3651 0.9105  1 La 2.31, 1 Cu 2.44
O9 0.6286 0.0991 0.3974  1 La 2.31, 1 Cu 2.41
O10 0.6331 0.6016 0.4025  1 La 2.33, 1 Cu 2.41
O11 0.6341 0.8530 0.9008  2 La 2.36-2.62, 1 Li 2.40
O12 0.9927 0.2529 0.9980  1 Cu 1.85, 1 Li 1.94
O13 0.9950 0.3723 0.7459  2 Cu 1.89-1.91
O14 0.9963 0.1245 0.2494  1 Cu 1.87, 1 Li 1.90
O15 0.9964 0.4983 0.5001  2 Cu 1.89-1.90
O16 0.9958 0.9979 0.4999  2 Cu 1.89

Summary:
**Space group**: P1
**Spin magnetization**: 0.00 μB per cell

***

#two
LiLa8Cu3O16 | GGA-PBE | optimized geometry

Unit cell a=7.0910 b=7.5723 c=8.4585 alpha=116.44 beta=96.89 gamma=105.59
Last column: nearest neighbours and their distance in Å.
Fractional coordinates of all 28 atoms:
Li1 0.0000 0.0000 0.0000  4 O 1.90-1.97
La1 0.2740 0.0911 0.8197  1 O 1.99
La2 0.2765 0.3491 0.3173  1 O 2.03
La3 0.2757 0.5789 0.8257  1 O 1.93
La4 0.2774 0.8430 0.3147  1 O 2.04
La5 0.7218 0.1579 0.6855  1 O 2.05
La6 0.7215 0.4196 0.1753  1 O 1.96
La7 0.7225 0.6525 0.6826  1 O 2.03
La8 0.7228 0.9079 0.1808  1 O 2.02
Cu1 0.9996 0.5004 0.9997  4 O 1.82-1.91
Cu2 0.0004 0.7487 0.5007  4 O 1.87-1.90
Cu3 0.9964 0.2527 0.4969  4 O 1.85-1.94
O1 0.0033 0.3770 0.7489  2 Cu 1.90-1.91, 2 La 1.93-2.05
O2 0.0039 0.1225 0.2524  1 Cu 1.87, 1 Li 1.90, 2 La 2.02-2.03
O3 0.0062 0.7458 0.0000  1 Cu 1.85, 1 Li 1.94
O4 0.3616 0.9552 0.0919  1 O 2.40, 2 La 2.46-2.57
O5 0.3673 0.2084 0.5846  3 O 2.50-2.74, 3 La 2.52-2.74, 1 Cu 2.79
O6 0.3682 0.4625 0.0818  3 O 2.52-2.72, 4 La 2.52-2.75, 1 Cu 2.75
O7 0.3701 0.7006 0.5888  3 La 2.46-2.70, 3 O 2.50-2.74
O8 0.6278 0.5441 0.9105  3 La 2.50-2.63, 3 O 2.53-2.74, 1 Cu 2.80
O9 0.6286 0.3044 0.3974  3 O 2.44-2.73, 3 La 2.48-2.66
O10 0.6331 0.7966 0.4025  1 O 2.43, 3 La 2.46-2.70
O11 0.6341 0.0514 0.9008  2 La 2.38-2.55, 1 O 2.41
O12 0.9927 0.2569 0.9980  1 Cu 1.82, 1 Li 1.97
O13 0.9950 0.8806 0.7459  1 Cu 1.87, 1 Li 1.92, 2 La 1.99-2.03
O14 0.9964 0.4981 0.5001  2 Cu 1.85-1.89
O15 0.9963 0.6258 0.2494  2 Cu 1.90, 2 La 1.96-2.04
O16 0.9958 0.9981 0.4999  2 Cu 1.90-1.94

Summary:
**Space group**: P1
**Spin magnetization**: 2.06 μB per cell

***

#three
LiLa8Cu3O16 | GGA-PBE | optimized geometry

Unit cell a=7.0937 b=7.5921 c=7.5922 alpha=90.16 beta=105.57 gamma=105.38
Last column: nearest neighbours and their distance in Å.
Fractional coordinates of all 28 atoms:
Li1 0.0000 0.0000 0.0000  4 O 1.94
La1 0.2764 0.3186 0.8196  1 O 2.31
La2 0.2765 0.8197 0.8245  5 O 2.37-2.63
La3 0.2764 0.8241 0.3142  1 O 2.31
La4 0.2781 0.3140 0.3191  5 O 2.37-2.63
La5 0.7219 0.6860 0.6809  5 O 2.37-2.63
La6 0.7236 0.1759 0.6858  1 O 2.31
La7 0.7235 0.1803 0.1755  5 O 2.37-2.63
La8 0.7236 0.6814 0.1804  1 O 2.31
Cu1 0.0000 0.0000 0.5000  4 O 1.86-1.88
Cu2 0.0000 0.5000 0.0000  4 O 1.86-1.88
Cu3 0.0000 0.5000 0.5000  4 O 1.92
O1 0.0059 0.0008 0.7466  1 Cu 1.86, 1 Li 1.94
O2 0.0065 0.2566 0.0023  1 Cu 1.86, 1 Li 1.94
O3 0.0064 0.5010 0.2491  2 Cu 1.88-1.92
O4 0.0059 0.7539 0.5021  2 Cu 1.88-1.92
O5 0.3623 0.5819 0.5996  1 La 2.37, 1 Cu 2.38
O6 0.3629 0.0818 0.0991  2 La 2.37-2.61, 1 Li 2.39
O7 0.3720 0.1024 0.5833  1 La 2.31, 1 Cu 2.45
O8 0.3721 0.6031 0.0831  1 La 2.31, 1 Cu 2.45
O9 0.6279 0.3969 0.9169  1 La 2.31, 1 Cu 2.45
O10 0.6280 0.8976 0.4167  1 La 2.31, 1 Cu 2.45
O11 0.6371 0.9182 0.9009  2 La 2.37-2.61, 1 Li 2.39
O12 0.6377 0.4181 0.4004  1 La 2.37, 1 Cu 2.38
O13 0.9941 0.2461 0.4979  2 Cu 1.88-1.92
O14 0.9936 0.4990 0.7509  2 Cu 1.88-1.92
O15 0.9935 0.7434 0.9977  1 Cu 1.86, 1 Li 1.94
O16 0.9941 0.9992 0.2534  1 Cu 1.86, 1 Li 1.94

Summary:
**Space group**: P-1
**Spin magnetization**: 0.00 μB per cell

***

#three (5 meV/atom below the next structure)

***

#one
La2CuO4 | GGA-PBE | optimized geometry

Unit cell a=4.0086 b=4.0086 c=12.6349 alpha=90.00 beta=90.00 gamma=90.00
Last column: nearest neighbours and their distance in Å.
Fractional coordinates of all 14 atoms:
La1 0.0000 0.0000 0.1496  4 O 2.37
La2 0.0000 0.0000 0.8504  4 O 2.37
La3 0.5000 0.5000 0.3504  4 O 2.37
La4 0.5000 0.5000 0.6496  4 O 2.37
Cu1 0.0000 0.0000 0.5000  4 O 2.00
Cu2 0.5000 0.5000 0.0000  4 O 2.00
O1 0.0000 0.5000 0.0000  2 Cu 2.00
O2 0.0000 0.5000 0.2500  4 La 2.37
O3 0.0000 0.5000 0.5000  2 Cu 2.00
O4 0.0000 0.5000 0.7500  4 La 2.37
O5 0.5000 0.0000 0.0000  2 Cu 2.00
O6 0.5000 0.0000 0.2500  4 La 2.37
O7 0.5000 0.0000 0.5000  2 Cu 2.00
O8 0.5000 0.0000 0.7500  4 La 2.37

Summary:
**Space group**: I4/mmm

***

#two
La2CuO4 | GGA-PBE | optimized geometry

Unit cell a=19.9404 b=19.9404 c=5.4393 alpha=90.00 beta=90.00 gamma=164.49
Last column: nearest neighbours and their distance in Å.
Fractional coordinates of all 42 atoms:
La1 0.0370 0.9630 0.5000  2 O 2.31-2.45
La2 0.1297 0.8703 0.5059  2 O 2.31-2.55
La3 0.2036 0.7964 0.0066  2 O 2.31-2.54
La4 0.2965 0.7035 0.9845  2 O 2.32-2.54
La5 0.3704 0.6296 0.4868  2 O 2.32-2.59
La6 0.4633 0.5367 0.4902  1 O 2.30
La7 0.5367 0.4633 0.9902  1 O 2.30
La8 0.6296 0.3704 0.9868  2 O 2.32-2.59
La9 0.7035 0.2965 0.4845  2 O 2.32-2.54
La10 0.7964 0.2036 0.5066  2 O 2.31-2.54
La11 0.8703 0.1297 0.0059  2 O 2.31-2.55
La12 0.9630 0.0370 0.0000  2 O 2.31-2.45
Cu1 0.0832 0.9168 0.9958  4 O 1.90-1.93
Cu2 0.2499 0.7501 0.4959  4 O 1.91-1.92
Cu3 0.4169 0.5831 0.9926  4 O 1.91-1.92
Cu4 0.5831 0.4169 0.4926  4 O 1.91-1.92
Cu5 0.7501 0.2499 0.9959  4 O 1.91-1.92
Cu6 0.9168 0.0832 0.4958  4 O 1.90-1.93
O1 0.0019 0.4976 0.2468  2 Cu 1.91-1.92
O2 0.0207 0.9793 0.9345  2 La 2.31-2.45, 1 Cu 2.49
O3 0.1455 0.8545 0.9598  2 La 2.31-2.55, 1 Cu 2.47
O4 0.1649 0.3319 0.7431  2 Cu 1.90-1.92
O5 0.1696 0.3364 0.2449  2 Cu 1.91-1.93
O6 0.1879 0.8121 0.4596  2 La 2.31-2.54, 1 Cu 2.46
O7 0.3120 0.6880 0.5321  2 La 2.32-2.54, 1 Cu 2.46
O8 0.3319 0.1649 0.2431  2 Cu 1.90-1.92
O9 0.3364 0.1696 0.7449  2 Cu 1.91-1.93
O10 0.3550 0.6450 0.0242  2 La 2.32-2.59, 1 Cu 2.45
O11 0.4784 0.5216 0.9767  1 La 2.30, 1 Cu 2.43
O12 0.4976 0.0019 0.7468  2 Cu 1.91-1.92
O13 0.5024 0.9981 0.2468  2 Cu 1.91-1.92
O14 0.5216 0.4784 0.4767  1 La 2.30, 1 Cu 2.43
O15 0.6450 0.3550 0.5242  2 La 2.32-2.59, 1 Cu 2.45
O16 0.6636 0.8304 0.2449  2 Cu 1.91-1.93
O17 0.6681 0.8351 0.7431  2 Cu 1.90-1.92
O18 0.6880 0.3120 0.0321  2 La 2.32-2.54, 1 Cu 2.46
O19 0.8121 0.1879 0.9596  2 La 2.31-2.54, 1 Cu 2.46
O20 0.8304 0.6636 0.7449  2 Cu 1.91-1.93
O21 0.8351 0.6681 0.2431  2 Cu 1.90-1.92
O22 0.8545 0.1455 0.4598  2 La 2.31-2.55, 1 Cu 2.47
O23 0.9793 0.0207 0.4345  2 La 2.31-2.45, 1 Cu 2.49
O24 0.9981 0.5024 0.7468  2 Cu 1.91-1.92

Summary:
**Space group**: Cmc2_1
**Spin magnetization**: 0.11 μB per cell

***

#one (77 meV/atom below the next structure)

***

#one
La2CuO4 | GGA-PBE | optimized geometry

Unit cell a=7.1181 b=3.8195 c=7.1150 alpha=74.48 beta=31.13 gamma=74.39
Last column: nearest neighbours and their distance in Å.
Fractional coordinates of all 7 atoms:
La1 0.1388 0.8612 0.1388  1 O 2.31
La2 0.8612 0.1388 0.8612  1 O 2.31
Cu1 0.4976 0.4976 0.5024  4 O 1.91
O1 0.2869 0.6587 0.3413  1 La 2.31, 1 Cu 2.45
O2 0.5005 0.9968 0.4995  2 Cu 1.91
O3 0.6587 0.2869 0.7131  1 La 2.31, 1 Cu 2.45
O4 0.9968 0.5005 0.0032  2 Cu 1.91

Summary:
**Space group**: Fmm2
**Spin magnetization**: 0.00 μB per cell

***

#two
La2CuO4 | GGA-PBE | optimized geometry

Unit cell a=7.0782 b=7.0782 c=5.5434 alpha=90.00 beta=90.00 gamma=135.53
Last column: nearest neighbours and their distance in Å.
Fractional coordinates of all 14 atoms:
La1 0.1390 0.8610 0.9853  4 O 2.32-2.60
La2 0.3610 0.6390 0.4853  4 O 2.32-2.60
La3 0.6390 0.3610 0.5147  4 O 2.32-2.60
La4 0.8610 0.1390 0.0147  4 O 2.32-2.60
Cu1 0.0000 0.0000 0.5000  4 O 1.93
Cu2 0.5000 0.5000 0.0000  4 O 1.93
O1 0.1868 0.8132 0.5598  2 La 2.32-2.44, 1 Cu 2.47
O2 0.2388 0.2612 0.7500  2 Cu 1.93
O3 0.2612 0.2388 0.2500  2 Cu 1.93
O4 0.3132 0.6868 0.0598  2 La 2.32-2.44, 1 Cu 2.47
O5 0.6868 0.3132 0.9402  2 La 2.32-2.44, 1 Cu 2.47
O6 0.7388 0.7612 0.7500  2 Cu 1.93
O7 0.7612 0.7388 0.2500  2 Cu 1.93
O8 0.8132 0.1868 0.4402  2 La 2.32-2.44, 1 Cu 2.47

Summary:
**Space group**: Cmce
**Spin magnetization**: 0.00 μB per cell

***

#two (12 meV/atom below the next structure)